# 1
# DyP3H5O6

A relaxed structure of DyP3H5O6 (PBE-GGA, the Materials Project database).

Results
- E_form (eV/atom) = -1.765

Cell lengths 5.7874, 8.1627, 11.0634 Å; angles 90.95, 74.84, 110.76 degrees
Atoms (fractional coordinates):
Dy (0.5000, 0.5000, 0.5000)
Dy (0.9995, 0.0000, 0.0000)
P (0.1861, 0.0405, 0.6475)
P (0.7931, 0.9595, 0.3525)
P (0.1216, 0.5347, 0.2914)
P (0.8782, 0.4653, 0.7086)
P (0.4119, 0.7403, 0.9163)
P (0.5880, 0.2597, 0.0837)
H (0.2239, 0.7211, 0.2740)
H (0.7768, 0.2789, 0.7260)
H (0.3212, 0.5552, 0.9128)
H (0.6788, 0.4448, 0.0872)
H (0.1554, 0.4790, 0.1683)
H (0.8446, 0.5210, 0.8317)
H (0.5087, 0.8044, 0.7877)
H (0.4920, 0.1956, 0.2123)
H (0.3383, 0.9317, 0.6192)
H (0.0259, 0.0683, 0.3808)
O (0.6329, 0.7944, 0.9771)
O (0.1843, 0.7944, 0.9771)
O (0.3670, 0.2056, 0.0229)
O (0.8157, 0.2056, 0.0229)
O (0.1373, 0.0626, 0.7883)
O (0.8631, 0.9374, 0.2117)
O (0.3275, 0.2053, 0.5555)
O (0.6777, 0.7947, 0.4445)
O (0.2827, 0.4727, 0.3550)
O (0.8350, 0.4734, 0.3550)
O (0.7166, 0.5266, 0.6450)
O (0.1650, 0.5273, 0.6450)

# 2
# DyHSO5

A relaxed structure of DyHSO5 (PBE-GGA, the Materials Project database).

Results
- E_form (eV/atom) = -2.545

Cell lengths 8.0508, 8.2174, 11.0800 Å; angles 90.00, 90.00, 93.85 degrees
Atoms (fractional coordinates):
Dy (0.6878, 0.9073, 0.9259)
Dy (0.1878, 0.4073, 0.5741)
Dy (0.3122, 0.0927, 0.0741)
Dy (0.8122, 0.5927, 0.4259)
Dy (0.6623, 0.3718, 0.9354)
Dy (0.1623, 0.8718, 0.5646)
Dy (0.3377, 0.6282, 0.0646)
Dy (0.8377, 0.1282, 0.4354)
H (0.3143, 0.3624, 0.9113)
H (0.8143, 0.8624, 0.5887)
H (0.6857, 0.6376, 0.0887)
H (0.1857, 0.1376, 0.4113)
H (0.6609, 0.1260, 0.1164)
H (0.1609, 0.6260, 0.3836)
H (0.3391, 0.8740, 0.8836)
H (0.8391, 0.3740, 0.6164)
S (0.0015, 0.6355, 0.8299)
S (0.5015, 0.1355, 0.6701)
S (0.9985, 0.3645, 0.1701)
S (0.4985, 0.8645, 0.3299)
S (0.0444, 0.1329, 0.8088)
S (0.5444, 0.6329, 0.6912)
S (0.9556, 0.8671, 0.1912)
S (0.4556, 0.3671, 0.3088)
O (0.1104, 0.2932, 0.7599)
O (0.6104, 0.7932, 0.7401)
O (0.8896, 0.7068, 0.2401)
O (0.3896, 0.2068, 0.2599)
O (0.9262, 0.7831, 0.8735)
O (0.4262, 0.2831, 0.6265)
O (0.0738, 0.2169, 0.1265)
O (0.5738, 0.7169, 0.3735)
O (0.0192, 0.0151, 0.7081)
O (0.5192, 0.5151, 0.7919)
O (0.9808, 0.9849, 0.2919)
O (0.4808, 0.4849, 0.2081)
O (0.3741, 0.3607, 0.9884)
O (0.8741, 0.8607, 0.5116)
O (0.6259, 0.6393, 0.0116)
O (0.1259, 0.1393, 0.4884)
O (0.0601, 0.6565, 0.7011)
O (0.5601, 0.1565, 0.7989)
O (0.9399, 0.3435, 0.2989)
O (0.4399, 0.8435, 0.2011)
O (0.1671, 0.0761, 0.8966)
O (0.6671, 0.5761, 0.6034)
O (0.8329, 0.9239, 0.1034)
O (0.3329, 0.4239, 0.3966)
O (0.8761, 0.4953, 0.8305)
O (0.3761, 0.9953, 0.6695)
O (0.1239, 0.5047, 0.1695)
O (0.6239, 0.0047, 0.3305)
O (0.1474, 0.6036, 0.9064)
O (0.6474, 0.1036, 0.5936)
O (0.8526, 0.3964, 0.0936)
O (0.3526, 0.8964, 0.4064)
O (0.5994, 0.1305, 0.0408)
O (0.0994, 0.6305, 0.4592)
O (0.4006, 0.8695, 0.9592)
O (0.9006, 0.3695, 0.5408)
O (0.8798, 0.1461, 0.8700)
O (0.3798, 0.6461, 0.6300)
O (0.1202, 0.8539, 0.1300)
O (0.6202, 0.3539, 0.3700)

# 3
# Dy2H16S3O20

A relaxed structure of Dy2H16S3O20 (PBE-GGA, the Materials Project database).

Results
- E_form (eV/atom) = -1.831

Cell lengths 7.6242, 7.6242, 18.2738 Å; angles 80.75, 80.75, 52.27 degrees
Atoms (fractional coordinates):
Dy (0.8445, 0.8361, 0.3886)
Dy (0.8361, 0.8445, 0.8886)
Dy (0.1639, 0.1555, 0.1114)
Dy (0.1555, 0.1639, 0.6114)
H (0.3142, 0.6757, 0.3923)
H (0.1953, 0.8017, 0.4657)
H (0.6931, 0.3029, 0.1601)
H (0.4367, 0.2634, 0.5051)
H (0.8458, 0.0420, 0.1466)
H (0.6757, 0.3142, 0.8923)
H (0.8017, 0.1953, 0.9657)
H (0.3029, 0.6931, 0.6601)
H (0.4600, 0.2390, 0.0506)
H (0.2634, 0.4367, 0.0051)
H (0.2582, 0.3848, 0.2013)
H (0.0420, 0.8458, 0.6466)
H (0.7812, 0.7706, 0.2414)
H (0.2294, 0.2188, 0.2586)
H (0.6152, 0.7418, 0.2987)
H (0.7610, 0.5400, 0.4494)
H (0.2390, 0.4600, 0.5506)
H (0.3848, 0.2582, 0.7013)
H (0.7706, 0.7812, 0.7414)
H (0.2188, 0.2294, 0.7586)
H (0.9580, 0.1542, 0.3534)
H (0.7418, 0.6152, 0.7987)
H (0.7366, 0.5633, 0.9949)
H (0.5400, 0.7610, 0.9494)
H (0.6971, 0.3069, 0.3399)
H (0.1983, 0.8047, 0.0343)
H (0.3243, 0.6858, 0.1077)
H (0.1542, 0.9580, 0.8534)
H (0.5633, 0.7366, 0.4949)
H (0.3069, 0.6971, 0.8399)
H (0.8047, 0.1983, 0.5343)
H (0.6858, 0.3243, 0.6077)
S (0.2339, 0.2080, 0.4120)
S (0.7920, 0.7661, 0.0880)
S (0.2080, 0.2339, 0.9120)
S (0.7661, 0.7920, 0.5880)
S (0.3161, 0.6839, 0.2500)
S (0.6839, 0.3161, 0.7500)
O (0.8211, 0.1616, 0.3616)
O (0.1904, 0.7192, 0.4316)
O (0.4068, 0.5185, 0.1937)
O (0.1060, 0.7288, 0.2871)
O (0.1616, 0.8211, 0.8616)
O (0.7192, 0.1904, 0.9316)
O (0.4568, 0.1614, 0.4028)
O (0.8787, 0.7936, 0.1486)
O (0.0584, 0.4515, 0.4129)
O (0.5185, 0.4068, 0.6937)
O (0.8993, 0.7912, 0.0148)
O (0.3039, 0.3695, 0.0559)
O (0.7288, 0.1060, 0.7871)
O (0.7132, 0.7877, 0.2933)
O (0.2123, 0.2868, 0.2067)
O (0.6305, 0.6961, 0.4441)
O (0.2088, 0.1007, 0.4852)
O (0.1614, 0.4568, 0.9028)
O (0.5485, 0.9416, 0.0871)
O (0.2064, 0.1213, 0.3514)
O (0.7936, 0.8787, 0.6486)
O (0.4515, 0.0584, 0.9129)
O (0.8386, 0.5432, 0.0972)
O (0.7912, 0.8993, 0.5148)
O (0.3695, 0.3039, 0.5559)
O (0.7877, 0.7132, 0.7933)
O (0.2868, 0.2123, 0.7067)
O (0.2712, 0.8940, 0.2129)
O (0.6961, 0.6305, 0.9441)
O (0.1007, 0.2088, 0.9852)
O (0.4815, 0.5932, 0.3063)
O (0.9416, 0.5485, 0.5871)
O (0.1213, 0.2064, 0.8514)
O (0.5432, 0.8386, 0.5972)
O (0.2808, 0.8096, 0.0684)
O (0.8384, 0.1789, 0.1384)
O (0.8940, 0.2712, 0.7129)
O (0.5932, 0.4815, 0.8063)
O (0.8096, 0.2808, 0.5684)
O (0.1789, 0.8384, 0.6384)

no.,total magnetic moment (μB/f.u.),E_tot (Ry/atom)
1,1.00,-0.4403
2,0.00,-0.4943
3,0.00,-0.4234